Entry 1:
A plane-wave DFT calculation with PBE was carried out for crystalline Li3SnB2O6 at its relaxed geometry.

a = 5.014 Å, b = 7.254 Å, c = 8.011 Å
α = 110.74°, β = 92.58°, γ = 89.62°
Sites, in units of the cell vectors:
B1 0.657 0.685 0.897
O1 0.223 0.482 0.224
Li1 0.672 0.240 0.622
O2 0.692 0.009 0.691
O3 0.895 0.168 0.393
Sn1 0.133 0.552 0.673
Sn2 0.867 0.448 0.327
Li2 0.180 0.911 0.061
O4 0.284 0.259 0.594
O5 0.374 0.684 0.891
Li3 0.328 0.760 0.378
Li4 0.319 0.057 0.748
O6 0.716 0.741 0.406
B2 0.166 0.133 0.427
O7 0.796 0.841 0.010
O8 0.626 0.316 0.109
B3 0.343 0.315 0.103
O9 0.204 0.159 0.990
O10 0.777 0.518 0.776
O11 0.308 0.991 0.309
Li5 0.820 0.089 0.939
Li6 0.681 0.943 0.252
O12 0.105 0.832 0.607
B4 0.834 0.867 0.573

Properties
Theoretical density in g cm⁻³: 3.1
Formation enthalpy at 0 K in kJ/mol of formula units: -2846
Offset from the most stable computed form in eV/atom: 0.0000

Entry 2:
A plane-wave DFT calculation with PBE was carried out for crystalline Li3SnB2O6 at its relaxed geometry.

a = 6.455 Å, b = 8.849 Å, c = 10.106 Å
α = 63.14°, β = 90.00°, γ = 90.00°
Sites, in units of the cell vectors:
Li1 0.222 0.841 0.456
O1 0.330 0.941 0.261
O2 0.068 0.205 0.561
O3 0.932 0.795 0.439
O4 0.830 0.059 0.239
B1 0.836 0.460 0.822
O5 0.059 0.658 0.053
O6 0.287 0.382 0.686
O7 0.670 0.059 0.739
Li2 0.062 0.709 0.831
Li3 0.256 0.394 0.479
O8 0.432 0.205 0.061
O9 0.792 0.990 0.982
B2 0.664 0.460 0.322
Li4 0.722 0.159 0.044
O10 0.441 0.658 0.553
O11 0.208 0.010 0.018
O12 0.706 0.413 0.211
O13 0.292 0.010 0.518
O14 0.213 0.382 0.186
B3 0.673 0.948 0.888
Li5 0.244 0.394 0.979
O15 0.206 0.587 0.289
Li6 0.744 0.606 0.521
Li7 0.778 0.159 0.544
Li8 0.278 0.841 0.956
Sn1 0.468 0.191 0.300
O16 0.294 0.587 0.789
Li9 0.562 0.291 0.669
B4 0.336 0.540 0.678
O17 0.170 0.941 0.761
O18 0.713 0.618 0.314
B5 0.173 0.052 0.612
B6 0.327 0.052 0.112
B7 0.164 0.540 0.178
B8 0.827 0.948 0.388
O19 0.708 0.990 0.482
O20 0.568 0.795 0.939
Sn2 0.532 0.809 0.700
Sn3 0.968 0.809 0.200
Li10 0.938 0.291 0.169
O21 0.787 0.618 0.814
Li11 0.756 0.606 0.021
Sn4 0.032 0.191 0.800
O22 0.941 0.342 0.947
O23 0.559 0.342 0.447
Li12 0.438 0.709 0.331
O24 0.794 0.413 0.711

Properties
Theoretical density in g cm⁻³: 3.3
Formation enthalpy at 0 K in kJ/mol of formula units: -2803
Offset from the most stable computed form in eV/atom: 0.0375

Entry 3:
A plane-wave DFT calculation with PBE was carried out for crystalline Sr4Li2B12O23 at its relaxed geometry.

a = 8.625 Å, b = 6.532 Å, c = 15.503 Å
α = 77.88°, β = 90.00°, γ = 90.00°
Sites, in units of the cell vectors:
O1 0.678 0.274 0.401
O2 0.004 0.577 0.225
O3 0.353 0.365 0.524
B1 0.880 0.477 0.183
Sr1 0.824 0.970 0.227
O4 0.647 0.635 0.476
Sr2 0.516 0.391 0.886
B2 0.831 0.752 0.038
B3 0.346 0.936 0.578
Li1 0.696 0.342 0.525
B4 0.039 0.903 0.427
B5 0.961 0.097 0.573
Sr3 0.176 0.030 0.773
O5 0.583 0.303 0.051
B6 0.654 0.064 0.422
O6 0.165 0.029 0.987
Li2 0.804 0.342 0.025
O7 0.147 0.365 0.024
B7 0.846 0.064 0.922
Sr4 0.676 0.970 0.727
O8 0.471 0.023 0.844
O9 0.562 0.329 0.631
B8 0.380 0.523 0.317
Sr5 0.324 0.030 0.273
O10 0.062 0.671 0.869
O11 0.822 0.274 0.901
O12 0.504 0.423 0.275
O13 0.853 0.635 0.976
Sr6 0.484 0.609 0.114
O14 0.496 0.577 0.725
O15 0.083 0.697 0.449
O16 0.178 0.726 0.099
Li3 0.304 0.658 0.475
B9 0.663 0.425 0.307
O17 0.322 0.726 0.599
O18 0.623 0.949 0.360
B10 0.398 0.285 0.618
O19 0.123 0.051 0.140
B11 0.169 0.248 0.962
O20 0.938 0.329 0.131
O21 0.835 0.971 0.013
O22 0.707 0.664 0.624
Sr7 0.984 0.391 0.386
O23 0.529 0.977 0.156
B12 0.331 0.248 0.462
Sr8 0.016 0.609 0.614
O24 0.226 0.643 0.751
O25 0.665 0.971 0.513
O26 0.793 0.664 0.124
O27 0.335 0.029 0.487
O28 0.774 0.357 0.249
B13 0.669 0.752 0.538
Li4 0.196 0.658 0.975
B14 0.461 0.903 0.927
O29 0.207 0.336 0.876
O30 0.726 0.357 0.749
B15 0.898 0.715 0.882
O31 0.000 0.000 0.500
B16 0.120 0.523 0.817
O32 0.207 0.370 0.175
O33 0.438 0.671 0.369
B17 0.620 0.477 0.683
O34 0.274 0.643 0.251
O35 0.417 0.697 0.949
O36 0.917 0.303 0.551
B18 0.337 0.575 0.693
B19 0.163 0.575 0.193
O37 0.029 0.023 0.344
O38 0.293 0.336 0.376
O39 0.707 0.630 0.325
B20 0.837 0.425 0.807
O40 0.793 0.630 0.825
B21 0.539 0.097 0.073
O41 0.500 0.000 0.000
B22 0.602 0.715 0.382
O42 0.293 0.370 0.675
O43 0.377 0.051 0.640
O44 0.877 0.949 0.860
B23 0.154 0.936 0.078
O45 0.971 0.977 0.656
O46 0.996 0.423 0.775
B24 0.102 0.285 0.118

Properties
Theoretical density in g cm⁻³: 3.4
Formation enthalpy at 0 K in kJ/mol of formula units: -11947